An optimized crystal structure of LiBiP2O7, computed with PBE.

Properties
* magnetization: 0.0 μB per formula unit
* offset from the most stable computed form: 0.046 eV per atom
* electronic total energy: -147.680 eV/cell
* ΔE_f: -2490 meV per atom

Unit cell a=6.754 b=6.805 c=6.921 alpha=67.51 beta=83.69 gamma=83.15
Positions (direct):
Li 0.588 0.344 0.660
Li 0.412 0.656 0.340
Bi 0.160 0.245 0.112
Bi 0.840 0.755 0.888
P 0.637 0.250 0.236
P 0.113 0.177 0.643
P 0.887 0.823 0.357
P 0.363 0.750 0.764
O 0.482 0.156 0.152
O 0.777 0.045 0.376
O 0.903 0.119 0.752
O 0.777 0.381 0.049
O 0.108 0.331 0.415
O 0.551 0.364 0.379
O 0.241 0.242 0.775
O 0.759 0.758 0.225
O 0.449 0.636 0.621
O 0.892 0.669 0.585
O 0.223 0.619 0.951
O 0.097 0.881 0.248
O 0.223 0.955 0.624
O 0.518 0.844 0.848

An optimized crystal structure of SrTl2Cd, computed with PBE.

Properties
* magnetization: 0.0 μB per formula unit
* electronic total energy: -8.389 eV/cell
* ΔE_f: -263 meV per atom

Unit cell a=5.496 b=5.496 c=5.496 alpha=60.00 beta=60.00 gamma=60.00
Positions (direct):
Sr 0.750 0.750 0.750
Tl 0.500 0.500 0.500
Tl 0.000 0.000 0.000
Cd 0.250 0.250 0.250

An optimized crystal structure of KRe2O4F7, computed with PBE.

Properties
* magnetization: 0.0 μB per formula unit
* electronic total energy: -177.818 eV/cell
* ΔE_f: -2550 meV per atom

Unit cell a=5.315 b=5.690 c=15.819 alpha=74.22 beta=90.00 gamma=90.00
Positions (direct):
K 0.307 0.500 0.250
K 0.693 0.500 0.750
Re 0.753 0.875 0.387
Re 0.753 0.125 0.113
Re 0.247 0.875 0.887
Re 0.247 0.125 0.613
O 0.408 0.871 0.604
O 0.134 0.247 0.510
O 0.592 0.129 0.396
O 0.866 0.247 0.010
O 0.408 0.129 0.896
O 0.866 0.753 0.490
O 0.592 0.871 0.104
O 0.134 0.753 0.990
F 0.460 0.679 0.396
F 0.622 0.000 0.250
F 0.046 0.951 0.161
F 0.378 0.000 0.750
F 0.887 0.630 0.332
F 0.540 0.679 0.896
F 0.113 0.370 0.668
F 0.046 0.049 0.339
F 0.113 0.630 0.832
F 0.540 0.321 0.604
F 0.954 0.049 0.839
F 0.887 0.370 0.168
F 0.954 0.951 0.661
F 0.460 0.321 0.104

An optimized crystal structure of K5In4Ge6As14, computed with PBE.

Properties
* magnetization: 0.0 μB per formula unit
* electronic total energy: -114.163 eV/cell
* ΔE_f: -160 meV per atom

Unit cell a=20.440 b=20.440 c=10.545 alpha=79.53 beta=79.53 gamma=11.36
Positions (direct):
K 0.820 0.820 0.545
K 0.180 0.180 0.455
K 0.000 0.000 0.000
K 0.588 0.588 0.175
K 0.412 0.412 0.825
In 0.427 0.427 0.231
In 0.573 0.573 0.769
In 0.851 0.851 0.130
In 0.149 0.149 0.870
Ge 0.274 0.274 0.163
Ge 0.726 0.726 0.837
Ge 0.980 0.980 0.421
Ge 0.020 0.020 0.579
Ge 0.702 0.702 0.074
Ge 0.298 0.298 0.926
As 0.165 0.165 0.114
As 0.835 0.835 0.886
As 0.492 0.492 0.278
As 0.508 0.508 0.722
As 0.322 0.322 0.274
As 0.678 0.678 0.726
As 0.738 0.738 0.240
As 0.262 0.262 0.760
As 0.922 0.922 0.554
As 0.078 0.078 0.446
As 0.606 0.606 0.526
As 0.394 0.394 0.474
As 0.918 0.918 0.079
As 0.082 0.082 0.921

An optimized crystal structure of K6Pb2O5, computed with PBE.

Properties
* electronic total energy: -110.219 eV/cell
* ΔE_f: -1517 meV per atom

Unit cell a=6.517 b=7.743 c=12.659 alpha=79.03 beta=84.26 gamma=88.05
Positions (direct):
K 0.433 0.607 0.365
K 0.567 0.393 0.635
K 0.921 0.410 0.383
K 0.079 0.590 0.617
K 0.317 0.950 0.122
K 0.683 0.050 0.878
K 0.308 0.485 0.122
K 0.692 0.515 0.878
K 0.780 0.701 0.126
K 0.220 0.299 0.874
K 0.412 0.134 0.374
K 0.588 0.866 0.626
Pb 0.912 0.869 0.354
Pb 0.088 0.131 0.646
Pb 0.757 0.211 0.137
Pb 0.243 0.789 0.863
O 0.648 0.948 0.244
O 0.352 0.052 0.756
O 0.518 0.242 0.026
O 0.482 0.758 0.974
O 0.746 0.676 0.478
O 0.254 0.324 0.522
O 0.618 0.384 0.243
O 0.382 0.616 0.757
O 0.081 0.693 0.258
O 0.919 0.307 0.742

An optimized crystal structure of KMg6BiO8, computed with PBE.

Properties
* magnetization: 0.0 μB per formula unit
* offset from the most stable computed form: 0.000 eV per atom
* electronic total energy: -87.429 eV/cell
* ΔE_f: -2421 meV per atom

Unit cell a=9.031 b=4.601 c=4.601 alpha=90.00 beta=90.00 gamma=90.00
Positions (direct):
K 0.000 0.000 0.000
Mg 0.500 0.000 0.000
Mg 0.500 0.500 0.500
Mg 0.271 0.000 0.500
Mg 0.729 0.000 0.500
Mg 0.271 0.500 0.000
Mg 0.729 0.500 0.000
Bi 0.000 0.500 0.500
O 0.279 0.000 0.000
O 0.721 0.000 0.000
O 0.270 0.500 0.500
O 0.730 0.500 0.500
O 0.000 0.000 0.500
O 0.500 0.000 0.500
O 0.000 0.500 0.000
O 0.500 0.500 0.000

Which value of electronic total energy does entry 3 give?
-177.818 eV/cell

The lowest electronic total energy belongs to which entry?
KRe2O4F7

Which formula does entry 4 have?
K5In4Ge6As14

Which of these has the lowest ΔE_f?
KRe2O4F7